Material: K3BiPCO7
Method: DFT, PBE
State: relaxed

a b c (Å): 6.0456 7.2570 10.3414
angles (deg): 90.00 94.56 90.00
Space group P2_1/m (No. 11)
Inequivalent atoms, fractional coordinates:
K  0.2226  0.9995  0.2317
K  0.2405  0.2500  0.5768
Bi  0.2775  0.7500  0.8564
P  0.3206  0.2500  0.9035
C  0.2734  0.7500  0.5568
O  0.1048  0.7500  0.6317
O  0.2264  0.2500  0.0363
O  0.2324  0.7500  0.4323
O  0.2439  0.0782  0.8184
O  0.4170  0.7500  0.0807
O  0.4752  0.7500  0.6106

Calculated values
Total energy after the MP2020 corrections ... -6.5213 eV/atom
V ... 17.4 A^3/atom
Theoretical density ... 3.534 g/cm³
Formation energy ... -50.2 kcal/mol of atoms